# 1
Material: RbTi6Se8
Method: DFT, r²SCAN
State: optimized geometry

Summary:
* E_form: -1.3918 eV/atom
* electronic total energy: -226.9 eV/f.u.
* symmetry: No. 2

Cell lengths 3.6588, 9.9324, 9.9209 Å; angles 119.60, 90.01, 90.01 degrees
Sites, in units of the cell vectors:
Rb (0.5000, 0.0000, 0.0000)
Ti (0.7485, 0.3623, 0.8711)
Ti (0.7484, 0.1294, 0.4892)
Ti (0.7489, 0.5088, 0.6380)
Ti (0.2515, 0.6377, 0.1289)
Ti (0.2516, 0.8706, 0.5108)
Ti (0.2511, 0.4912, 0.3620)
Se (0.7505, 0.6660, 0.3330)
Se (0.2495, 0.3340, 0.6670)
Se (0.7537, 0.0483, 0.6967)
Se (0.7526, 0.3036, 0.3506)
Se (0.7535, 0.6489, 0.9524)
Se (0.2463, 0.9517, 0.3033)
Se (0.2474, 0.6964, 0.6494)
Se (0.2465, 0.3511, 0.0476)

=====

# 2
Material: RbVSe2
Method: DFT, r²SCAN
State: optimized geometry

Summary:
* E_form: -1.1450 eV/atom
* electronic total energy: -61.2 eV/f.u.
* symmetry: No. 70

Cell lengths 6.0203, 7.6154, 12.6094 Å; angles 84.59, 76.19, 66.72 degrees
Sites, in units of the cell vectors:
Rb (0.9473, 0.7500, 0.1055)
Rb (0.3027, 0.7500, 0.3945)
Rb (0.0527, 0.2500, 0.8945)
Rb (0.6973, 0.2500, 0.6055)
V (0.1250, 0.7500, 0.7500)
V (0.8750, 0.2500, 0.2500)
V (0.6250, 0.7500, 0.7500)
V (0.3750, 0.2500, 0.2500)
Se (0.2746, 0.0532, 0.1440)
Se (0.9718, 0.4468, 0.3560)
Se (0.6722, 0.0532, 0.3560)
Se (0.5814, 0.4468, 0.1440)
Se (0.7254, 0.9468, 0.8560)
Se (0.0282, 0.5532, 0.6440)
Se (0.3278, 0.9468, 0.6440)
Se (0.4186, 0.5532, 0.8560)

=====

# 3
Material: RbYbZnSe3
Method: DFT, r²SCAN
State: optimized geometry

Summary:
* E_form: -1.6283 eV/atom
* electronic total energy: -112.1 eV/f.u.
* symmetry: No. 63

Cell lengths 7.8880, 7.8880, 10.7812 Å; angles 90.00, 90.00, 149.94 degrees
Sites, in units of the cell vectors:
Rb (0.2554, 0.7446, 0.2500)
Rb (0.7446, 0.2554, 0.7500)
Yb (0.0000, 0.0000, 0.0000)
Yb (0.0000, 0.0000, 0.5000)
Zn (0.5379, 0.4621, 0.2500)
Zn (0.4621, 0.5379, 0.7500)
Se (0.6209, 0.3791, 0.0581)
Se (0.3791, 0.6209, 0.9419)
Se (0.3791, 0.6209, 0.5581)
Se (0.6209, 0.3791, 0.4419)
Se (0.9398, 0.0602, 0.2500)
Se (0.0602, 0.9398, 0.7500)

=====

# 4
Material: Rb4Zr3Se14
Method: DFT, r²SCAN
State: optimized geometry

Summary:
* E_form: -1.2038 eV/atom
* electronic total energy: -349.6 eV/f.u.
* symmetry: No. 15

Cell lengths 12.2006, 12.2004, 14.2536 Å; angles 70.37, 70.37, 41.76 degrees
Sites, in units of the cell vectors:
Rb (0.0203, 0.3783, 0.8939)
Rb (0.6217, 0.9797, 0.6061)
Rb (0.9797, 0.6217, 0.1061)
Rb (0.3783, 0.0203, 0.3939)
Rb (0.1827, 0.6819, 0.6497)
Rb (0.3181, 0.8173, 0.8503)
Rb (0.8173, 0.3181, 0.3503)
Rb (0.6819, 0.1827, 0.1497)
Zr (0.9224, 0.4133, 0.5862)
Zr (0.5867, 0.0775, 0.9138)
Zr (0.0775, 0.5867, 0.4138)
Zr (0.4133, 0.9225, 0.0862)
Zr (0.7608, 0.2392, 0.7500)
Zr (0.2392, 0.7607, 0.2500)
Se (0.8803, 0.1973, 0.9029)
Se (0.8026, 0.1198, 0.5971)
Se (0.1197, 0.8026, 0.0971)
Se (0.1974, 0.8803, 0.4029)
Se (0.6550, 0.4757, 0.5773)
Se (0.5243, 0.3450, 0.9227)
Se (0.3451, 0.5243, 0.4227)
Se (0.4757, 0.6550, 0.0773)
Se (0.0738, 0.0911, 0.6320)
Se (0.9090, 0.9261, 0.8680)
Se (0.9262, 0.9089, 0.3680)
Se (0.0911, 0.0739, 0.1320)
Se (0.7460, 0.4536, 0.7878)
Se (0.5464, 0.2540, 0.7123)
Se (0.2540, 0.5464, 0.2123)
Se (0.4536, 0.7460, 0.2877)
Se (0.9927, 0.5692, 0.6057)
Se (0.4308, 0.0073, 0.8943)
Se (0.0073, 0.4307, 0.3943)
Se (0.5692, 0.9927, 0.1057)
Se (0.8478, 0.8015, 0.8301)
Se (0.1985, 0.1522, 0.6699)
Se (0.1522, 0.1985, 0.1699)
Se (0.8015, 0.8478, 0.3301)
Se (0.2984, 0.4085, 0.8932)
Se (0.5914, 0.7017, 0.6068)
Se (0.7016, 0.5915, 0.1069)
Se (0.4086, 0.2983, 0.3932)

=====

# 5
Material: RbSi
Method: DFT, r²SCAN
State: optimized geometry

Summary:
* E_form: -0.1059 eV/atom
* E above lowest polymorph: 0.013 eV/atom
* electronic total energy: -22.9 eV/f.u.
* symmetry: No. 142

Cell lengths 10.9748, 10.9748, 11.8321 Å; angles 117.63, 117.63, 90.00 degrees
Sites, in units of the cell vectors:
Rb (0.2500, 0.3932, 0.0000)
Rb (0.2500, 0.8932, 0.0000)
Rb (0.1068, 0.7500, 0.5000)
Rb (0.8932, 0.2500, 0.5000)
Rb (0.7500, 0.6068, 0.0000)
Rb (0.7500, 0.1068, 0.0000)
Rb (0.6068, 0.7500, 0.5000)
Rb (0.3932, 0.2500, 0.5000)
Rb (0.7541, 0.2459, 0.7500)
Rb (0.4959, 0.7459, 0.7500)
Rb (0.0041, 0.9959, 0.2500)
Rb (0.7459, 0.4959, 0.2500)
Rb (0.2459, 0.7541, 0.2500)
Rb (0.5041, 0.2541, 0.2500)
Rb (0.9959, 0.0041, 0.7500)
Rb (0.2541, 0.5041, 0.7500)
Si (0.2662, 0.4811, 0.3450)
Si (0.5789, 0.9811, 0.3450)
Si (0.3639, 0.0789, 0.8450)
Si (0.9811, 0.5789, 0.8450)
Si (0.7338, 0.5189, 0.6550)
Si (0.4211, 0.0189, 0.6550)
Si (0.6361, 0.9211, 0.1550)
Si (0.0189, 0.4211, 0.1550)
Si (0.7662, 0.8639, 0.3450)
Si (0.0789, 0.3639, 0.3450)
Si (0.8639, 0.7662, 0.8450)
Si (0.4811, 0.2662, 0.8450)
Si (0.2338, 0.1361, 0.6550)
Si (0.9211, 0.6361, 0.6550)
Si (0.1361, 0.2338, 0.1550)
Si (0.5189, 0.7338, 0.1550)

=====

# 6
Material: RbSi
Method: DFT, r²SCAN
State: optimized geometry

Summary:
* E_form: -0.1193 eV/atom
* E above lowest polymorph: 0.000 eV/atom
* electronic total energy: -22.9 eV/f.u.
* symmetry: No. 218

Cell lengths 13.0993, 13.0993, 13.0993 Å; angles 90.00, 90.00, 90.00 degrees
Sites, in units of the cell vectors:
Rb (0.0651, 0.3364, 0.1407)
Rb (0.8364, 0.4349, 0.3593)
Rb (0.5651, 0.6407, 0.8364)
Rb (0.4349, 0.6407, 0.1636)
Rb (0.6407, 0.8364, 0.5651)
Rb (0.3593, 0.1636, 0.5651)
Rb (0.6636, 0.8593, 0.0651)
Rb (0.6636, 0.1407, 0.9349)
Rb (0.3364, 0.8593, 0.9349)
Rb (0.1407, 0.9349, 0.6636)
Rb (0.9349, 0.3364, 0.8593)
Rb (0.9349, 0.6636, 0.1407)
Rb (0.8593, 0.0651, 0.6636)
Rb (0.0651, 0.6636, 0.8593)
Rb (0.8593, 0.9349, 0.3364)
Rb (0.1407, 0.0651, 0.3364)
Rb (0.8364, 0.5651, 0.6407)
Rb (0.3593, 0.8364, 0.4349)
Rb (0.6407, 0.1636, 0.4349)
Rb (0.5651, 0.3593, 0.1636)
Rb (0.4349, 0.3593, 0.8364)
Rb (0.1636, 0.4349, 0.6407)
Rb (0.1636, 0.5651, 0.3593)
Rb (0.3364, 0.1407, 0.0651)
Rb (0.8332, 0.8332, 0.8332)
Rb (0.6668, 0.3332, 0.6668)
Rb (0.3332, 0.6668, 0.6668)
Rb (0.6668, 0.6668, 0.3332)
Rb (0.8332, 0.1668, 0.1668)
Rb (0.1668, 0.1668, 0.8332)
Rb (0.1668, 0.8332, 0.1668)
Rb (0.3332, 0.3332, 0.3332)
Si (0.5601, 0.9295, 0.8143)
Si (0.5601, 0.0705, 0.1857)
Si (0.9295, 0.8143, 0.5601)
Si (0.0705, 0.8143, 0.4399)
Si (0.8143, 0.5601, 0.9295)
Si (0.1857, 0.4399, 0.9295)
Si (0.9399, 0.6857, 0.4295)
Si (0.9399, 0.3143, 0.5705)
Si (0.0601, 0.6857, 0.5705)
Si (0.3143, 0.5705, 0.9399)
Si (0.5705, 0.0601, 0.6857)
Si (0.5705, 0.9399, 0.3143)
Si (0.6857, 0.4295, 0.9399)
Si (0.4295, 0.9399, 0.6857)
Si (0.6857, 0.5705, 0.0601)
Si (0.0651, 0.0651, 0.0651)
Si (0.4295, 0.0601, 0.3143)
Si (0.1857, 0.5601, 0.0705)
Si (0.8143, 0.4399, 0.0705)
Si (0.9295, 0.1857, 0.4399)
Si (0.0705, 0.1857, 0.5601)
Si (0.4399, 0.0705, 0.8143)
Si (0.4399, 0.9295, 0.1857)
Si (0.0601, 0.3143, 0.4295)
Si (0.5651, 0.5651, 0.5651)
Si (0.9349, 0.0651, 0.9349)
Si (0.0651, 0.9349, 0.9349)
Si (0.9349, 0.9349, 0.0651)
Si (0.5651, 0.4349, 0.4349)
Si (0.4349, 0.4349, 0.5651)
Si (0.4349, 0.5651, 0.4349)
Si (0.3143, 0.4295, 0.0601)

=====

# 7
Material: RbSn
Method: DFT, r²SCAN
State: optimized geometry

Summary:
* E_form: -0.3684 eV/atom
* electronic total energy: -39.4 eV/f.u.
* symmetry: No. 142

Cell lengths 11.8368, 11.8368, 12.7981 Å; angles 117.54, 117.54, 90.00 degrees
Sites, in units of the cell vectors:
Rb (0.1116, 0.2500, 0.5000)
Rb (0.7500, 0.1116, 0.0000)
Rb (0.2500, 0.3884, 0.0000)
Rb (0.3884, 0.7500, 0.5000)
Rb (0.8884, 0.7500, 0.5000)
Rb (0.2500, 0.8884, 0.0000)
Rb (0.7500, 0.6116, 0.0000)
Rb (0.6116, 0.2500, 0.5000)
Rb (0.5031, 0.7531, 0.2500)
Rb (0.9969, 0.5031, 0.7500)
Rb (0.7531, 0.7469, 0.7500)
Rb (0.7469, 0.9969, 0.2500)
Rb (0.4969, 0.2469, 0.7500)
Rb (0.0031, 0.4969, 0.2500)
Rb (0.2469, 0.2531, 0.2500)
Rb (0.2531, 0.0031, 0.7500)
Sn (0.9918, 0.0706, 0.8581)
Sn (0.2875, 0.9918, 0.3581)
Sn (0.0706, 0.8664, 0.3581)
Sn (0.6336, 0.4294, 0.1419)
Sn (0.5082, 0.2125, 0.1419)
Sn (0.2125, 0.6336, 0.6419)
Sn (0.4294, 0.5082, 0.6419)
Sn (0.8664, 0.2875, 0.8581)
Sn (0.0082, 0.9294, 0.1419)
Sn (0.7125, 0.0082, 0.6419)
Sn (0.9294, 0.1336, 0.6419)
Sn (0.3664, 0.5706, 0.8581)
Sn (0.4918, 0.7875, 0.8581)
Sn (0.7875, 0.3664, 0.3581)
Sn (0.5706, 0.4918, 0.3581)
Sn (0.1336, 0.7125, 0.1419)

=====

# 8
Material: Rb2SnTe5
Method: DFT, r²SCAN
State: optimized geometry

Summary:
* E_form: -0.6560 eV/atom
* electronic total energy: -184.9 eV/f.u.
* symmetry: No. 12

Cell lengths 8.8354, 8.8355, 9.9676 Å; angles 116.01, 116.01, 90.18 degrees
Sites, in units of the cell vectors:
Rb (0.2460, 0.2470, 0.4930)
Rb (0.7470, 0.7460, 0.4930)
Rb (0.9964, 0.9964, 0.9928)
Rb (0.4964, 0.4964, 0.9928)
Sn (0.7467, 0.2467, 0.4940)
Sn (0.2466, 0.7466, 0.4928)
Te (0.4613, 0.9613, 0.2710)
Te (0.3076, 0.4607, 0.2681)
Te (0.9607, 0.8076, 0.2681)
Te (0.8069, 0.3069, 0.2670)
Te (0.1861, 0.6861, 0.7195)
Te (0.0326, 0.1860, 0.7190)
Te (0.6860, 0.5326, 0.7190)
Te (0.5320, 0.0320, 0.7154)
Te (0.4969, 0.9969, 0.9933)
Te (0.9970, 0.4970, 0.9936)

=====

# 9
Material: Rb2Te3
Method: DFT, r²SCAN
State: optimized geometry

Summary:
* E_form: -0.8698 eV/atom
* electronic total energy: -108.5 eV/f.u.
* symmetry: No. 62

Cell lengths 4.7923, 10.7527, 16.2468 Å; angles 90.00, 90.00, 90.00 degrees
Sites, in units of the cell vectors:
Rb (0.7195, 0.9689, 0.6233)
Rb (0.2195, 0.0311, 0.8767)
Rb (0.2805, 0.4689, 0.3767)
Rb (0.7805, 0.5311, 0.1233)
Rb (0.2805, 0.0311, 0.3767)
Rb (0.7805, 0.9689, 0.1233)
Rb (0.7195, 0.5311, 0.6233)
Rb (0.2195, 0.4689, 0.8767)
Te (0.1929, 0.7500, 0.5143)
Te (0.6929, 0.2500, 0.9857)
Te (0.8071, 0.2500, 0.4857)
Te (0.3071, 0.7500, 0.0143)
Te (0.2925, 0.7500, 0.7407)
Te (0.7925, 0.2500, 0.7593)
Te (0.7075, 0.2500, 0.2593)
Te (0.2075, 0.7500, 0.2407)
Te (0.6675, 0.7500, 0.8759)
Te (0.1675, 0.2500, 0.6241)
Te (0.3325, 0.2500, 0.1241)
Te (0.8325, 0.7500, 0.3759)

=====

# 10
Material: RbTe
Method: DFT, r²SCAN
State: optimized geometry

Summary:
* E_form: -1.0147 eV/atom
* electronic total energy: -41.4 eV/f.u.
* symmetry: No. 189

Cell lengths 9.9896, 9.9896, 6.7277 Å; angles 90.00, 90.00, 120.00 degrees
Sites, in units of the cell vectors:
Rb (0.6523, 0.0000, 0.0000)
Rb (0.3477, 0.3477, 0.0000)
Rb (0.0000, 0.6523, 0.0000)
Rb (0.3173, 0.0000, 0.5000)
Rb (0.6827, 0.6827, 0.5000)
Rb (0.0000, 0.3173, 0.5000)
Te (0.0000, 0.0000, 0.2078)
Te (0.0000, 0.0000, 0.7922)
Te (0.3333, 0.6667, 0.2914)
Te (0.3333, 0.6667, 0.7086)
Te (0.6667, 0.3333, 0.7086)
Te (0.6667, 0.3333, 0.2914)

=====

# 11
Material: RbTe
Method: DFT, r²SCAN
State: optimized geometry

Summary:
* E_form: -1.0151 eV/atom
* electronic total energy: -41.4 eV/f.u.
* symmetry: No. 55

Cell lengths 4.8974, 5.8833, 11.1908 Å; angles 90.00, 90.00, 90.00 degrees
Sites, in units of the cell vectors:
Rb (0.5000, 0.6715, 0.8660)
Rb (0.5000, 0.3285, 0.1340)
Rb (0.5000, 0.1715, 0.6340)
Rb (0.5000, 0.8285, 0.3660)
Te (0.0000, 0.1403, 0.8969)
Te (0.0000, 0.8597, 0.1031)
Te (0.0000, 0.6403, 0.6031)
Te (0.0000, 0.3597, 0.3969)

=====

# 12
Material: RbU3TiTe9
Method: DFT, r²SCAN
State: optimized geometry

Summary:
* E_form: -1.0339 eV/atom
* electronic total energy: -509.9 eV/f.u.
* symmetry: No. 11

Cell lengths 6.2208, 8.4419, 17.8954 Å; angles 83.22, 90.00, 90.00 degrees
Sites, in units of the cell vectors:
Rb (0.2500, 0.5332, 0.8693)
Rb (0.7500, 0.4668, 0.1307)
U (0.2500, 0.9528, 0.1898)
U (0.7500, 0.0472, 0.8102)
U (0.2500, 0.8967, 0.4110)
U (0.7500, 0.1033, 0.5890)
U (0.2500, 0.4008, 0.4008)
U (0.7500, 0.5992, 0.5992)
Ti (0.0000, 0.0000, 0.0000)
Ti (0.5000, 0.0000, 0.0000)
Te (0.9985, 0.8343, 0.6978)
Te (0.4985, 0.1657, 0.3022)
Te (0.0015, 0.1657, 0.3022)
Te (0.5015, 0.8343, 0.6978)
Te (0.0009, 0.6847, 0.3021)
Te (0.5009, 0.3153, 0.6979)
Te (0.9991, 0.3153, 0.6979)
Te (0.4991, 0.6847, 0.3021)
Te (0.2500, 0.7400, 0.0615)
Te (0.7500, 0.2600, 0.9385)
Te (0.2500, 0.6124, 0.5347)
Te (0.7500, 0.3876, 0.4653)
Te (0.2500, 0.2293, 0.0614)
Te (0.7500, 0.7707, 0.9386)
Te (0.2500, 0.1214, 0.5332)
Te (0.7500, 0.8786, 0.4668)
Te (0.2500, 0.0332, 0.8684)
Te (0.7500, 0.9668, 0.1316)

=====

# 13
Material: RbYTe2
Method: DFT, r²SCAN
State: optimized geometry

Summary:
* E_form: -1.6572 eV/atom
* electronic total energy: -91.7 eV/f.u.
* symmetry: No. 194

Cell lengths 4.5154, 4.5154, 17.0313 Å; angles 90.00, 90.00, 120.00 degrees
Sites, in units of the cell vectors:
Rb (0.3333, 0.6667, 0.2500)
Rb (0.6667, 0.3333, 0.7500)
Y (0.0000, 0.0000, 0.0000)
Y (0.0000, 0.0000, 0.5000)
Te (0.3333, 0.6667, 0.6001)
Te (0.6667, 0.3333, 0.1001)
Te (0.6667, 0.3333, 0.3999)
Te (0.3333, 0.6667, 0.8999)

=====

# 14
Material: RbTl3
Method: DFT, r²SCAN
State: optimized geometry

Summary:
* E_form: -0.1051 eV/atom
* electronic total energy: -173.9 eV/f.u.
* symmetry: No. 194

Cell lengths 8.2632, 8.2632, 5.1964 Å; angles 90.00, 90.00, 120.00 degrees
Sites, in units of the cell vectors:
Rb (0.3333, 0.6667, 0.7500)
Rb (0.6667, 0.3333, 0.2500)
Tl (0.1358, 0.2716, 0.2500)
Tl (0.7284, 0.8642, 0.2500)
Tl (0.1358, 0.8642, 0.2500)
Tl (0.8642, 0.7284, 0.7500)
Tl (0.2716, 0.1358, 0.7500)
Tl (0.8642, 0.1358, 0.7500)